1.
## UP2H36C12Br2N6O4 (PBE)

Data for crystalline UP2H36C12Br2N6O4 at its relaxed geometry.

Output
calculated density: 1.8 g/cm³
spin magnetization: 0.00 μB/atom
uncorrected energy: -5.630 eV/atom
formation enthalpy at 0 K: -466 meV per atom

a b c (Å): 10.8258 10.8258 24.9877
angles (deg): 90.00 90.00 90.00
With the nearest neighbours (Å) after each atom.
Fractional coordinates of all 252 atoms:
U (0.0238, 0.0238, 0.0000)  2 O 1.81
U (0.4762, 0.5238, 0.2500)  2 O 1.81
U (0.5238, 0.4762, 0.7500)  2 O 1.81
U (0.9762, 0.9762, 0.5000)  2 O 1.81
P (0.2157, 0.2829, 0.2373)  1 O 1.53, 3 N 1.64-1.65
P (0.2171, 0.7157, 0.4873)  1 O 1.53, 3 N 1.64-1.65
P (0.2829, 0.2157, 0.7627)  1 O 1.53, 3 N 1.64-1.65
P (0.2843, 0.7829, 0.0127)  1 O 1.53, 3 N 1.64-1.65
P (0.7157, 0.2171, 0.5127)  1 O 1.53, 3 N 1.64-1.65
P (0.7171, 0.7843, 0.2627)  1 O 1.53, 3 N 1.64-1.65
P (0.7829, 0.2843, 0.9873)  1 O 1.53, 3 N 1.64-1.65
P (0.7843, 0.7171, 0.7373)  1 O 1.53, 3 N 1.64-1.65
H (0.0167, 0.7772, 0.7833)  1 C 1.09
H (0.0243, 0.7204, 0.2951)  1 C 1.10
H (0.0264, 0.1574, 0.8379)  1 C 1.10
H (0.0272, 0.5808, 0.5255)  1 C 1.09
H (0.0292, 0.2370, 0.3517)  1 C 1.10
H (0.0367, 0.1419, 0.7669)  1 C 1.10
H (0.0376, 0.4383, 0.9608)  1 C 1.10
H (0.0454, 0.0931, 0.3186)  1 C 1.10
H (0.0500, 0.3802, 0.1306)  1 C 1.10
H (0.0509, 0.4386, 0.4904)  1 C 1.10
H (0.0614, 0.5509, 0.7404)  1 C 1.10
H (0.0617, 0.5376, 0.2108)  1 C 1.10
H (0.0667, 0.2209, 0.1467)  1 C 1.09
H (0.0682, 0.6981, 0.6672)  1 C 1.10
H (0.0772, 0.6228, 0.0937)  1 C 1.10
H (0.0808, 0.4728, 0.2755)  1 C 1.09
H (0.0911, 0.2875, 0.6676)  1 C 1.10
H (0.0931, 0.0454, 0.6814)  1 C 1.10
H (0.1145, 0.7829, 0.0941)  1 C 1.09
H (0.1198, 0.5500, 0.3806)  1 C 1.10
H (0.1228, 0.4228, 0.8437)  1 C 1.10
H (0.1403, 0.7391, 0.9252)  1 C 1.10
H (0.1419, 0.0367, 0.2331)  1 C 1.10
H (0.1574, 0.0264, 0.1621)  1 C 1.10
H (0.1780, 0.2990, 0.8849)  1 C 1.10
H (0.1981, 0.4318, 0.4172)  1 C 1.10
H (0.2010, 0.6780, 0.1349)  1 C 1.10
H (0.2125, 0.5911, 0.9176)  1 C 1.10
H (0.2155, 0.2448, 0.6248)  1 C 1.10
H (0.2171, 0.8855, 0.4059)  1 C 1.09
H (0.2204, 0.4757, 0.0451)  1 C 1.10
H (0.2209, 0.0667, 0.8533)  1 C 1.09
H (0.2228, 0.9833, 0.7167)  1 C 1.09
H (0.2370, 0.0292, 0.6483)  1 C 1.10
H (0.2391, 0.3597, 0.6752)  1 C 1.10
H (0.2448, 0.2155, 0.3752)  1 C 1.10
H (0.2552, 0.7155, 0.8748)  1 C 1.10
H (0.2609, 0.8597, 0.5748)  1 C 1.10
H (0.2630, 0.5292, 0.6017)  1 C 1.10
H (0.2772, 0.4833, 0.5333)  1 C 1.09
H (0.2791, 0.5667, 0.3967)  1 C 1.09
H (0.2796, 0.9757, 0.2049)  1 C 1.10
H (0.2829, 0.3855, 0.8441)  1 C 1.09
H (0.2845, 0.7448, 0.6252)  1 C 1.10
H (0.2875, 0.0911, 0.3324)  1 C 1.10
H (0.2990, 0.1780, 0.1151)  1 C 1.10
H (0.3019, 0.9318, 0.8328)  1 C 1.10
H (0.3220, 0.7990, 0.3651)  1 C 1.10
H (0.3426, 0.5264, 0.0879)  1 C 1.10
H (0.3581, 0.5367, 0.0169)  1 C 1.10
H (0.3597, 0.2391, 0.3248)  1 C 1.10
H (0.3772, 0.9228, 0.4063)  1 C 1.10
H (0.3802, 0.0500, 0.8694)  1 C 1.10
H (0.3855, 0.2829, 0.1559)  1 C 1.09
H (0.4069, 0.5454, 0.5686)  1 C 1.10
H (0.4089, 0.7875, 0.5824)  1 C 1.10
H (0.4192, 0.9728, 0.9745)  1 C 1.09
H (0.4228, 0.1228, 0.1563)  1 C 1.10
H (0.4318, 0.1981, 0.5828)  1 C 1.10
H (0.4333, 0.7209, 0.1033)  1 C 1.09
H (0.4383, 0.0376, 0.0392)  1 C 1.10
H (0.4386, 0.0509, 0.5096)  1 C 1.10
H (0.4491, 0.9386, 0.7596)  1 C 1.10
H (0.4500, 0.8802, 0.1194)  1 C 1.10
H (0.4546, 0.5931, 0.9314)  1 C 1.10
H (0.4624, 0.9383, 0.2892)  1 C 1.10
H (0.4633, 0.6419, 0.4831)  1 C 1.10
H (0.4708, 0.7370, 0.8983)  1 C 1.10
H (0.4728, 0.0808, 0.7245)  1 C 1.09
H (0.4736, 0.6574, 0.4121)  1 C 1.10
H (0.4757, 0.2204, 0.9549)  1 C 1.10
H (0.4833, 0.2772, 0.4667)  1 C 1.09
H (0.5167, 0.7228, 0.9667)  1 C 1.09
H (0.5243, 0.7796, 0.4549)  1 C 1.10
H (0.5264, 0.3426, 0.9121)  1 C 1.10
H (0.5272, 0.9192, 0.2245)  1 C 1.09
H (0.5292, 0.2630, 0.3983)  1 C 1.10
H (0.5367, 0.3581, 0.9831)  1 C 1.10
H (0.5376, 0.0617, 0.7892)  1 C 1.10
H (0.5454, 0.4069, 0.4314)  1 C 1.10
H (0.5500, 0.1198, 0.6194)  1 C 1.10
H (0.5509, 0.0614, 0.2596)  1 C 1.10
H (0.5614, 0.9491, 0.0096)  1 C 1.10
H (0.5617, 0.9624, 0.5392)  1 C 1.10
H (0.5667, 0.2791, 0.6033)  1 C 1.09
H (0.5682, 0.8019, 0.0828)  1 C 1.10
H (0.5772, 0.8772, 0.6563)  1 C 1.10
H (0.5808, 0.0272, 0.4745)  1 C 1.09
H (0.5911, 0.2125, 0.0824)  1 C 1.10
H (0.5931, 0.4546, 0.0686)  1 C 1.10
H (0.6145, 0.7171, 0.6559)  1 C 1.09
H (0.6198, 0.9500, 0.3694)  1 C 1.10
H (0.6228, 0.0772, 0.9063)  1 C 1.10
H (0.6403, 0.7609, 0.8248)  1 C 1.10
H (0.6419, 0.4633, 0.5169)  1 C 1.10
H (0.6574, 0.4736, 0.5879)  1 C 1.10
H (0.6780, 0.2010, 0.8651)  1 C 1.10
H (0.6981, 0.0682, 0.3328)  1 C 1.10
H (0.7010, 0.8220, 0.6151)  1 C 1.10
H (0.7125, 0.9089, 0.8324)  1 C 1.10
H (0.7155, 0.2552, 0.1252)  1 C 1.10
H (0.7171, 0.6145, 0.3441)  1 C 1.09
H (0.7204, 0.0243, 0.7049)  1 C 1.10
H (0.7209, 0.4333, 0.8967)  1 C 1.09
H (0.7228, 0.5167, 0.0333)  1 C 1.09
H (0.7370, 0.4708, 0.1017)  1 C 1.10
H (0.7391, 0.1403, 0.0748)  1 C 1.10
H (0.7448, 0.2845, 0.3748)  1 C 1.10
H (0.7552, 0.7845, 0.8752)  1 C 1.10
H (0.7609, 0.6403, 0.1752)  1 C 1.10
H (0.7630, 0.9708, 0.1483)  1 C 1.10
H (0.7772, 0.0167, 0.2167)  1 C 1.09
H (0.7791, 0.9333, 0.3533)  1 C 1.09
H (0.7796, 0.5243, 0.5451)  1 C 1.10
H (0.7829, 0.1145, 0.9059)  1 C 1.09
H (0.7845, 0.7552, 0.1248)  1 C 1.10
H (0.7875, 0.4089, 0.4176)  1 C 1.10
H (0.7990, 0.3220, 0.6349)  1 C 1.10
H (0.8019, 0.5682, 0.9172)  1 C 1.10
H (0.8220, 0.7010, 0.3849)  1 C 1.10
H (0.8426, 0.9736, 0.6621)  1 C 1.10
H (0.8581, 0.9633, 0.7331)  1 C 1.10
H (0.8597, 0.2609, 0.4252)  1 C 1.10
H (0.8772, 0.5772, 0.3437)  1 C 1.10
H (0.8802, 0.4500, 0.8806)  1 C 1.10
H (0.8855, 0.2171, 0.5941)  1 C 1.09
H (0.9069, 0.9546, 0.1814)  1 C 1.10
H (0.9089, 0.7125, 0.1676)  1 C 1.10
H (0.9192, 0.5272, 0.7755)  1 C 1.09
H (0.9228, 0.3772, 0.5937)  1 C 1.10
H (0.9318, 0.3019, 0.1672)  1 C 1.10
H (0.9333, 0.7791, 0.6467)  1 C 1.09
H (0.9383, 0.4624, 0.7108)  1 C 1.10
H (0.9386, 0.4491, 0.2404)  1 C 1.10
H (0.9491, 0.5614, 0.9904)  1 C 1.10
H (0.9500, 0.6198, 0.6306)  1 C 1.10
H (0.9546, 0.9069, 0.8186)  1 C 1.10
H (0.9624, 0.5617, 0.4608)  1 C 1.10
H (0.9633, 0.8581, 0.2669)  1 C 1.10
H (0.9708, 0.7630, 0.8517)  1 C 1.10
H (0.9728, 0.4192, 0.0255)  1 C 1.09
H (0.9736, 0.8426, 0.3379)  1 C 1.10
H (0.9757, 0.2796, 0.7951)  1 C 1.10
H (0.9833, 0.2228, 0.2833)  1 C 1.09
C (0.0325, 0.3096, 0.1615)  3 H 1.09-1.10
C (0.0397, 0.4571, 0.2361)  3 H 1.09-1.10
C (0.0429, 0.5397, 0.4861)  3 H 1.09-1.10
C (0.0460, 0.2070, 0.8003)  3 H 1.10
C (0.0518, 0.1940, 0.3130)  3 H 1.09-1.10
C (0.1537, 0.6898, 0.0962)  3 H 1.09-1.10
C (0.1898, 0.3463, 0.8462)  3 H 1.09-1.10
C (0.1904, 0.5325, 0.4115)  3 H 1.09-1.10
C (0.1920, 0.2728, 0.6659)  3 H 1.10
C (0.1940, 0.0518, 0.6870)  3 H 1.09-1.10
C (0.2070, 0.0460, 0.1997)  3 H 1.10
C (0.2272, 0.6920, 0.9159)  3 H 1.10
C (0.2728, 0.1920, 0.3341)  3 H 1.10
C (0.2930, 0.5460, 0.0503)  3 H 1.10
C (0.3060, 0.5518, 0.5630)  3 H 1.09-1.10
C (0.3080, 0.7728, 0.5841)  3 H 1.10
C (0.3096, 0.0325, 0.8385)  3 H 1.09-1.10
C (0.3102, 0.8463, 0.4038)  3 H 1.09-1.10
C (0.3463, 0.1898, 0.1538)  3 H 1.09-1.10
C (0.4482, 0.6940, 0.9370)  3 H 1.09-1.10
C (0.4540, 0.7070, 0.4497)  3 H 1.10
C (0.4571, 0.0397, 0.7639)  3 H 1.09-1.10
C (0.4603, 0.9571, 0.0139)  3 H 1.09-1.10
C (0.4675, 0.8096, 0.0885)  3 H 1.09-1.10
C (0.5325, 0.1904, 0.5885)  3 H 1.09-1.10
C (0.5397, 0.0429, 0.5139)  3 H 1.09-1.10
C (0.5429, 0.9603, 0.2639)  3 H 1.09-1.10
C (0.5460, 0.2930, 0.9497)  3 H 1.10
C (0.5518, 0.3060, 0.4370)  3 H 1.09-1.10
C (0.6537, 0.8102, 0.6538)  3 H 1.09-1.10
C (0.6898, 0.1537, 0.9038)  3 H 1.09-1.10
C (0.6904, 0.9675, 0.3385)  3 H 1.09-1.10
C (0.6920, 0.2272, 0.0841)  3 H 1.10
C (0.6940, 0.4482, 0.0630)  3 H 1.09-1.10
C (0.7070, 0.4540, 0.5503)  3 H 1.10
C (0.7272, 0.8080, 0.8341)  3 H 1.10
C (0.7728, 0.3080, 0.4159)  3 H 1.10
C (0.7930, 0.9540, 0.6997)  3 H 1.10
C (0.8060, 0.9482, 0.1870)  3 H 1.09-1.10
C (0.8080, 0.7272, 0.1659)  3 H 1.10
C (0.8096, 0.4675, 0.9115)  3 H 1.09-1.10
C (0.8102, 0.6537, 0.3462)  3 H 1.09-1.10
C (0.8463, 0.3102, 0.5962)  3 H 1.09-1.10
C (0.9482, 0.8060, 0.8130)  3 H 1.09-1.10
C (0.9540, 0.7930, 0.3003)  3 H 1.10
C (0.9571, 0.4603, 0.9861)  3 H 1.09-1.10
C (0.9603, 0.5429, 0.7361)  3 H 1.09-1.10
C (0.9675, 0.6904, 0.6615)  3 H 1.09-1.10
Br (0.1630, 0.1630, 0.5000)  1 U 2.86
Br (0.2094, 0.2094, 0.0000)  1 U 2.84, 4 H 3.05-3.10
Br (0.2906, 0.7094, 0.2500)  1 U 2.84, 4 H 3.05-3.10
Br (0.3370, 0.6630, 0.7500)  1 U 2.86
Br (0.6630, 0.3370, 0.2500)  1 U 2.86
Br (0.7094, 0.2906, 0.7500)  1 U 2.84, 4 H 3.05-3.10
Br (0.7906, 0.7906, 0.5000)  1 U 2.84, 4 H 3.05-3.10
Br (0.8370, 0.8370, 0.0000)  1 U 2.86
N (0.0890, 0.3441, 0.2123)  2 C 1.46
N (0.1559, 0.5890, 0.4623)  2 C 1.46
N (0.1691, 0.2620, 0.8014)  2 C 1.46
N (0.1761, 0.2310, 0.2969)  2 C 1.46
N (0.2310, 0.1761, 0.7031)  2 C 1.46
N (0.2380, 0.6691, 0.0514)  2 C 1.46
N (0.2620, 0.1691, 0.1986)  2 C 1.46
N (0.2690, 0.6761, 0.5469)  2 C 1.46
N (0.3239, 0.7310, 0.9531)  2 C 1.46
N (0.3309, 0.7620, 0.4486)  2 C 1.46
N (0.3441, 0.0890, 0.7877)  2 C 1.46
N (0.4110, 0.8441, 0.0377)  2 C 1.46
N (0.5890, 0.1559, 0.5377)  2 C 1.46
N (0.6559, 0.9110, 0.2877)  2 C 1.46
N (0.6691, 0.2380, 0.9486)  2 C 1.46
N (0.6761, 0.2690, 0.4531)  2 C 1.46
N (0.7310, 0.3239, 0.0469)  2 C 1.46
N (0.7380, 0.8309, 0.6986)  2 C 1.46
N (0.7620, 0.3309, 0.5514)  2 C 1.46
N (0.7690, 0.8239, 0.2031)  2 C 1.46
N (0.8239, 0.7690, 0.7969)  2 C 1.46
N (0.8309, 0.7380, 0.3014)  2 C 1.46
N (0.8441, 0.4110, 0.9623)  2 C 1.46
N (0.9110, 0.6559, 0.7123)  2 C 1.46
O (0.0152, 0.0313, 0.0723)  1 U 1.81
O (0.0313, 0.0152, 0.9277)  1 U 1.81
O (0.1249, 0.8216, 0.4928)  1 P 1.53
O (0.1784, 0.8751, 0.0072)  1 P 1.53
O (0.3216, 0.3751, 0.2428)  1 P 1.53
O (0.3751, 0.3216, 0.7572)  1 P 1.53
O (0.4687, 0.5152, 0.3223)  1 U 1.81
O (0.4848, 0.5313, 0.1777)  1 U 1.81
O (0.5152, 0.4687, 0.6777)  1 U 1.81
O (0.5313, 0.4848, 0.8223)  1 U 1.81
O (0.6249, 0.6784, 0.2572)  1 P 1.53
O (0.6784, 0.6249, 0.7428)  1 P 1.53
O (0.8216, 0.1249, 0.5072)  1 P 1.53
O (0.8751, 0.1784, 0.9928)  1 P 1.53
O (0.9687, 0.9848, 0.4277)  1 U 1.81
O (0.9848, 0.9687, 0.5723)  1 U 1.81



2.
## MgGaH4 (PBE)

Data for crystalline MgGaH4 at its relaxed geometry.

Output
calculated density: 2.0 g/cm³
spin magnetization: 0.00 μB/atom
uncorrected energy: -2.849 eV/atom
formation enthalpy at 0 K: 65 meV per atom

a b c (Å): 6.0022 6.9502 9.3716
angles (deg): 90.00 121.84 90.00
With the nearest neighbours (Å) after each atom.
Fractional coordinates of all 24 atoms:
Mg (0.0067, 0.1341, 0.2567)  3 H 1.83-2.01
Mg (0.0067, 0.3659, 0.7567)  3 H 1.83-2.01
Mg (0.9933, 0.6341, 0.2433)  3 H 1.83-2.01
Mg (0.9933, 0.8659, 0.7433)  3 H 1.83-2.01
Ga (0.3518, 0.6229, 0.1124)  3 H 1.60-1.61
Ga (0.3518, 0.8771, 0.6124)  3 H 1.60-1.61
Ga (0.6482, 0.1229, 0.3876)  3 H 1.60-1.61
Ga (0.6482, 0.3771, 0.8876)  3 H 1.60-1.61
H (0.0795, 0.1130, 0.8204)  2 Mg 1.83
H (0.0795, 0.3870, 0.3204)  2 Mg 1.83
H (0.2443, 0.0787, 0.5159)  1 Ga 1.61
H (0.2443, 0.4213, 0.0159)  1 Ga 1.61
H (0.2571, 0.6890, 0.4947)  1 Ga 1.61
H (0.2571, 0.8110, 0.9947)  1 Ga 1.61
H (0.3394, 0.1187, 0.2543)  1 Ga 1.60
H (0.3394, 0.3813, 0.7543)  1 Ga 1.60
H (0.6606, 0.6187, 0.2457)  1 Ga 1.60
H (0.6606, 0.8813, 0.7457)  1 Ga 1.60
H (0.7429, 0.1890, 0.0053)  1 Ga 1.61
H (0.7429, 0.3110, 0.5053)  1 Ga 1.61
H (0.7557, 0.5787, 0.9841)  1 Ga 1.61
H (0.7557, 0.9213, 0.4841)  1 Ga 1.61
H (0.9205, 0.6130, 0.6796)  2 Mg 1.83
H (0.9205, 0.8870, 0.1796)  2 Mg 1.83



3.
## Pr3Tm3Mn23 (PBE)

Data for crystalline Pr3Tm3Mn23 at its relaxed geometry.

Output
calculated density: 8.0 g/cm³
spin magnetization: 1.20 μB/atom
uncorrected energy: -8.065 eV/atom
formation enthalpy at 0 K: 159 meV per atom

a b c (Å): 8.6505 8.6505 8.6505
angles (deg): 59.95 59.95 59.95
With the nearest neighbours (Å) after each atom.
Fractional coordinates of all 29 atoms:
Pr (0.0570, 0.4715, 0.4715)  12 Mn 2.95-3.18
Pr (0.4715, 0.0570, 0.4715)  12 Mn 2.95-3.18
Pr (0.4715, 0.4715, 0.0570)  12 Mn 2.95-3.18
Tm (0.0515, 0.0515, 0.4754)  12 Mn 2.87-3.15
Tm (0.0515, 0.4754, 0.0515)  12 Mn 2.87-3.15
Tm (0.4754, 0.0515, 0.0515)  12 Mn 2.87-3.15
Mn (0.0846, 0.0846, 0.8038)  9 Mn 2.43-2.69
Mn (0.0846, 0.8038, 0.0846)  9 Mn 2.43-2.69
Mn (0.0864, 0.0864, 0.0864)  9 Mn 2.46-2.67
Mn (0.1179, 0.6480, 0.6480)  7 Mn 2.47-2.70
Mn (0.2612, 0.7651, 0.7651)  8 Mn 2.50-2.74
Mn (0.2661, 0.2661, 0.7738)  8 Mn 2.45-2.70
Mn (0.2661, 0.7738, 0.2661)  8 Mn 2.45-2.70
Mn (0.4085, 0.8850, 0.8850)  7 Mn 2.54-2.74
Mn (0.4432, 0.4432, 0.7287)  9 Mn 2.42-2.70
Mn (0.4432, 0.7287, 0.4432)  9 Mn 2.42-2.70
Mn (0.4463, 0.4463, 0.4463)  9 Mn 2.42-2.70
Mn (0.6467, 0.6467, 0.6467)  7 Mn 2.56-2.73
Mn (0.6480, 0.1179, 0.6480)  7 Mn 2.47-2.70
Mn (0.6480, 0.6480, 0.1179)  7 Mn 2.47-2.70
Mn (0.7287, 0.4432, 0.4432)  9 Mn 2.42-2.70
Mn (0.7651, 0.2612, 0.7651)  8 Mn 2.50-2.74
Mn (0.7651, 0.7651, 0.2612)  8 Mn 2.50-2.74
Mn (0.7676, 0.7676, 0.7676)  8 Mn 2.43-2.56
Mn (0.7738, 0.2661, 0.2661)  8 Mn 2.45-2.70
Mn (0.8038, 0.0846, 0.0846)  9 Mn 2.43-2.69
Mn (0.8824, 0.8824, 0.8824)  7 Mn 2.43-2.69
Mn (0.8850, 0.4085, 0.8850)  7 Mn 2.54-2.74
Mn (0.8850, 0.8850, 0.4085)  7 Mn 2.54-2.74



4.
## Tb4MgIr (PBE)

Data for crystalline Tb4MgIr at its relaxed geometry.

Output
calculated density: 8.6 g/cm³
uncorrected energy: -5.254 eV/atom
formation enthalpy at 0 K: -425 meV per atom

a b c (Å): 9.7524 9.7524 9.7524
angles (deg): 60.00 60.00 60.00
With the nearest neighbours (Å) after each atom.
Fractional coordinates of all 24 atoms:
Tb (0.0617, 0.0617, 0.4383)  2 Ir 2.83
Tb (0.0617, 0.4383, 0.0617)  2 Ir 2.83
Tb (0.0617, 0.4383, 0.4383)  2 Ir 2.83
Tb (0.1870, 0.1870, 0.8130)  2 Mg 3.33, 2 Ir 3.53, 10 Tb 3.53-3.66
Tb (0.1870, 0.8130, 0.1870)  2 Mg 3.33, 2 Ir 3.53, 10 Tb 3.53-3.66
Tb (0.1870, 0.8130, 0.8130)  2 Mg 3.33, 2 Ir 3.53, 10 Tb 3.53-3.66
Tb (0.2108, 0.5964, 0.5964)  3 Ir 2.84
Tb (0.4383, 0.0617, 0.0617)  2 Ir 2.83
Tb (0.4383, 0.0617, 0.4383)  2 Ir 2.83
Tb (0.4383, 0.4383, 0.0617)  2 Ir 2.83
Tb (0.5964, 0.2108, 0.5964)  3 Ir 2.84
Tb (0.5964, 0.5964, 0.2108)  3 Ir 2.84
Tb (0.5964, 0.5964, 0.5964)  3 Ir 2.84
Tb (0.8130, 0.1870, 0.1870)  2 Mg 3.33, 2 Ir 3.53, 10 Tb 3.53-3.66
Tb (0.8130, 0.1870, 0.8130)  2 Mg 3.33, 2 Ir 3.53, 10 Tb 3.53-3.66
Tb (0.8130, 0.8130, 0.1870)  2 Mg 3.33, 2 Ir 3.53, 10 Tb 3.53-3.66
Mg (0.5117, 0.8294, 0.8294)  3 Mg 3.10, 3 Tb 3.33
Mg (0.8294, 0.5117, 0.8294)  3 Mg 3.10, 3 Tb 3.33
Mg (0.8294, 0.8294, 0.5117)  3 Mg 3.10, 3 Tb 3.33
Mg (0.8294, 0.8294, 0.8294)  3 Mg 3.10, 3 Tb 3.33
Ir (0.3913, 0.3913, 0.3913)  6 Tb 2.83-2.84
Ir (0.3913, 0.3913, 0.8262)  6 Tb 2.83-2.84
Ir (0.3913, 0.8262, 0.3913)  6 Tb 2.83-2.84
Ir (0.8262, 0.3913, 0.3913)  6 Tb 2.83-2.84